VASP calculation (PBE) on an optimized crystal structure of LiYPd2.

space group: No. 225
density: 6.90 g/cm3
total magnetic moment: 0.000 μB/atom
crystal system: cubic
DFT formation energy: -2.7 eV/f.u.

a = 4.7187 Å, b = 4.7187 Å, c = 4.7187 Å
α = 60.00°, β = 60.00°, γ = 60.00°
Element x y z (fractional)
Li 0.0000 0.0000 0.0000
Y 0.5000 0.5000 0.5000
Pd 0.2500 0.2500 0.2500
Pd 0.7500 0.7500 0.7500